Version a
DFT (PBE with a Hubbard U) results for a relaxed structure of NaMn8O16.

Cell and atoms, written as POSCAR:
```
NaMn8O16
1.0
9.913 0.000 0.000
0.000 5.908 0.000
-0.087 0.000 9.995
Na Mn O
2 16 32
Direct
0.000 0.000 0.000
0.500 0.251 0.500
0.151 0.250 0.334
0.152 0.749 0.335
0.168 0.500 0.650
0.168 0.999 0.649
0.332 0.751 0.850
0.333 0.252 0.851
0.348 0.502 0.166
0.349 0.000 0.166
0.651 0.000 0.834
0.652 0.502 0.834
0.667 0.252 0.149
0.668 0.751 0.150
0.832 0.500 0.350
0.832 0.999 0.351
0.848 0.749 0.665
0.849 0.250 0.666
0.042 0.749 0.661
0.043 0.249 0.662
0.153 0.001 0.203
0.153 0.500 0.206
0.172 0.000 0.457
0.172 0.498 0.458
0.200 0.000 0.844
0.202 0.500 0.843
0.298 0.750 0.657
0.301 0.251 0.656
0.329 0.251 0.043
0.329 0.752 0.042
0.348 0.250 0.297
0.348 0.751 0.293
0.457 0.001 0.838
0.457 0.502 0.839
0.543 0.001 0.162
0.543 0.502 0.161
0.652 0.250 0.703
0.652 0.751 0.707
0.671 0.251 0.957
0.671 0.752 0.958
0.699 0.251 0.344
0.702 0.750 0.343
0.798 0.500 0.157
0.800 0.000 0.156
0.828 0.000 0.543
0.828 0.498 0.542
0.847 0.001 0.797
0.847 0.500 0.794
0.957 0.249 0.338
0.958 0.749 0.339
```

Results
Symmetry ... P2, No. 3

***

Version b
DFT (PBE with a Hubbard U) results for a relaxed structure of NaMn8O16.

Cell and atoms, written as POSCAR:
```
NaMn8O16
1.0
5.924 0.000 0.000
0.000 11.858 0.000
0.000 0.000 8.380
Na Mn O
2 16 32
Direct
0.250 0.250 0.126
0.750 0.750 0.874
0.000 0.000 0.000
0.000 0.500 0.000
0.003 0.750 0.495
0.250 0.124 0.745
0.250 0.376 0.745
0.250 0.623 0.745
0.250 0.877 0.745
0.497 0.750 0.495
0.500 0.000 0.000
0.500 0.500 0.000
0.503 0.250 0.505
0.750 0.123 0.255
0.750 0.377 0.255
0.750 0.624 0.255
0.750 0.876 0.255
0.997 0.250 0.505
0.031 0.501 0.764
0.031 0.999 0.764
0.034 0.250 0.735
0.038 0.750 0.726
0.250 0.106 0.978
0.250 0.142 0.515
0.250 0.358 0.515
0.250 0.394 0.978
0.250 0.610 0.980
0.250 0.641 0.511
0.250 0.859 0.511
0.250 0.890 0.980
0.462 0.750 0.726
0.466 0.250 0.735
0.469 0.501 0.764
0.469 0.999 0.764
0.531 0.001 0.236
0.531 0.499 0.236
0.534 0.750 0.265
0.538 0.250 0.274
0.750 0.110 0.020
0.750 0.141 0.489
0.750 0.359 0.489
0.750 0.390 0.020
0.750 0.606 0.022
0.750 0.642 0.485
0.750 0.858 0.485
0.750 0.894 0.022
0.962 0.250 0.274
0.966 0.750 0.265
0.969 0.001 0.236
0.969 0.499 0.236
```

Results
Symmetry ... Pmmn, No. 59

***

Quick one: least stable of them? version b

***

Version a
DFT (PBE with a Hubbard U) results for a relaxed structure of NaMn2O4.

Cell and atoms, written as POSCAR:
```
NaMn2O4
1.0
1.509 -4.954 0.000
1.509 4.954 0.000
0.000 0.000 9.822
Na Mn O
2 4 8
Direct
0.105 0.895 0.750
0.895 0.105 0.250
0.363 0.637 0.572
0.363 0.637 0.928
0.637 0.363 0.072
0.637 0.363 0.428
0.000 0.000 0.000
0.000 0.000 0.500
0.266 0.734 0.104
0.266 0.734 0.396
0.434 0.566 0.750
0.566 0.434 0.250
0.734 0.266 0.604
0.734 0.266 0.896
```

Results
Symmetry ... Cmcm, No. 63

***

Version b
DFT (PBE with a Hubbard U) results for a relaxed structure of NaMn2O4.

Cell and atoms, written as POSCAR:
```
NaMn2O4
1.0
8.998 0.000 0.000
0.000 2.920 0.000
0.000 0.000 11.309
Na Mn O
4 8 16
Direct
0.247 0.250 0.161
0.253 0.750 0.661
0.747 0.250 0.339
0.753 0.750 0.839
0.069 0.250 0.388
0.083 0.250 0.904
0.417 0.750 0.404
0.431 0.750 0.888
0.569 0.250 0.112
0.583 0.250 0.596
0.917 0.750 0.096
0.931 0.750 0.612
0.028 0.750 0.802
0.070 0.250 0.584
0.116 0.750 0.019
0.211 0.750 0.348
0.289 0.250 0.848
0.384 0.250 0.519
0.430 0.750 0.084
0.472 0.250 0.302
0.528 0.750 0.698
0.570 0.250 0.916
0.616 0.750 0.481
0.711 0.750 0.152
0.789 0.250 0.652
0.884 0.250 0.981
0.930 0.750 0.416
0.972 0.250 0.198
```

Results
Symmetry ... Pnma, No. 62

***

Quick one: least stable of them? version a

***

Version a
DFT (PBE with a Hubbard U) results for a relaxed structure of Na6MnO4.

Cell and atoms, written as POSCAR:
```
Na6MnO4
1.0
0.000 0.000 5.970
7.773 0.000 0.000
0.000 13.463 0.000
Na O Mn
24 16 4
Direct
0.975 0.709 0.430
0.975 0.209 0.930
0.643 0.500 0.961
0.643 0.309 0.770
0.143 0.191 0.730
0.643 0.809 0.270
0.143 0.500 0.039
0.143 0.000 0.539
0.643 0.191 0.270
0.643 0.000 0.461
0.975 0.291 0.430
0.143 0.809 0.730
0.975 0.500 0.640
0.143 0.691 0.230
0.975 0.000 0.140
0.475 0.500 0.360
0.143 0.309 0.230
0.475 0.791 0.070
0.643 0.691 0.770
0.975 0.791 0.930
0.475 0.000 0.860
0.475 0.709 0.570
0.475 0.209 0.070
0.475 0.291 0.570
0.364 0.500 0.687
0.364 0.781 0.406
0.904 0.000 0.333
0.864 0.719 0.094
0.864 0.000 0.813
0.404 0.000 0.667
0.404 0.500 0.167
0.364 0.719 0.906
0.904 0.500 0.833
0.864 0.500 0.313
0.864 0.781 0.594
0.864 0.219 0.594
0.864 0.281 0.094
0.364 0.219 0.406
0.364 0.000 0.187
0.364 0.281 0.906
0.246 0.000 0.333
0.746 0.000 0.667
0.746 0.500 0.167
0.246 0.500 0.833
```

***

Version b
DFT (PBE with a Hubbard U) results for a relaxed structure of Na6MnO4.

Cell and atoms, written as POSCAR:
```
Na6MnO4
1.0
-2.416 -3.790 -6.116
-1.247 -7.678 5.251
-7.996 4.911 0.115
O Na Mn
16 24 4
Direct
0.750 0.531 0.033
0.498 0.407 0.657
0.002 0.907 0.157
0.250 0.969 0.467
0.998 0.593 0.343
0.498 0.907 0.157
0.250 0.217 0.219
0.002 0.407 0.657
0.250 0.469 0.967
0.750 0.283 0.281
0.998 0.093 0.843
0.502 0.593 0.343
0.250 0.717 0.719
0.750 0.031 0.533
0.502 0.093 0.843
0.750 0.783 0.781
0.537 0.357 0.893
0.037 0.144 0.607
0.537 0.144 0.106
0.963 0.643 0.606
0.750 0.041 0.291
0.463 0.644 0.106
0.463 0.356 0.393
0.963 0.356 0.893
0.537 0.857 0.393
0.250 0.459 0.209
0.037 0.356 0.393
0.963 0.143 0.106
0.750 0.791 0.041
0.250 0.209 0.959
0.037 0.856 0.893
0.463 0.144 0.606
0.750 0.291 0.541
0.037 0.644 0.107
0.463 0.856 0.893
0.250 0.959 0.709
0.750 0.541 0.791
0.963 0.856 0.393
0.250 0.709 0.459
0.537 0.644 0.606
0.250 0.500 0.750
0.750 0.500 0.250
0.250 0.000 0.250
0.750 0.000 0.750
```

***

Quick one: least stable of them? version a

***

Version a
DFT (PBE with a Hubbard U) results for a relaxed structure of NaMnO4.

Cell and atoms, written as POSCAR:
```
NaMnO4
1.0
11.049 0.000 0.000
0.000 5.482 0.000
0.000 0.000 6.439
Na Mn O
4 4 16
Direct
0.197 0.250 0.070
0.303 0.750 0.570
0.697 0.250 0.430
0.803 0.750 0.930
0.000 0.000 0.500
0.000 0.500 0.500
0.500 0.000 0.000
0.500 0.500 0.000
0.074 0.250 0.343
0.097 0.128 0.742
0.097 0.372 0.742
0.113 0.750 0.440
0.387 0.250 0.940
0.403 0.628 0.242
0.403 0.872 0.242
0.426 0.750 0.843
0.574 0.250 0.157
0.597 0.128 0.758
0.597 0.372 0.758
0.613 0.750 0.060
0.887 0.250 0.560
0.903 0.628 0.258
0.903 0.872 0.258
0.926 0.750 0.657
```

Results
Symmetry ... Pnma, No. 62

***

Version b
DFT (PBE with a Hubbard U) results for a relaxed structure of NaMnO4.

Cell and atoms, written as POSCAR:
```
NaMnO4
1.0
2.943 -4.533 0.000
2.943 4.533 0.000
0.000 0.000 7.046
Na Mn O
2 2 8
Direct
0.000 0.000 0.000
0.000 0.000 0.500
0.361 0.639 0.750
0.639 0.361 0.250
0.239 0.309 0.750
0.260 0.740 0.563
0.260 0.740 0.937
0.309 0.239 0.250
0.691 0.761 0.750
0.740 0.260 0.063
0.740 0.260 0.437
0.761 0.691 0.250
```

Results
Symmetry ... Cmcm, No. 63

***

Quick one: least stable of them? version a

***

Version a
DFT (PBE with a Hubbard U) results for a relaxed structure of NaMn3O6.

Cell and atoms, written as POSCAR:
```
NaMn3O6
1.0
5.459 -2.890 0.000
5.459 2.890 0.000
-1.641 0.000 14.436
Na Mn O
4 12 24
Direct
0.202 0.264 0.440
0.264 0.202 0.940
0.736 0.798 0.060
0.798 0.736 0.560
0.104 0.854 0.907
0.142 0.393 0.735
0.146 0.896 0.593
0.362 0.615 0.408
0.385 0.638 0.092
0.393 0.142 0.235
0.607 0.858 0.765
0.615 0.362 0.908
0.638 0.385 0.592
0.854 0.104 0.407
0.858 0.607 0.265
0.896 0.146 0.093
0.031 0.297 0.184
0.035 0.780 0.472
0.053 0.814 0.143
0.186 0.947 0.357
0.213 0.464 0.316
0.220 0.965 0.028
0.284 0.535 0.974
0.296 0.552 0.641
0.297 0.031 0.684
0.448 0.704 0.859
0.464 0.213 0.816
0.465 0.716 0.526
0.535 0.284 0.474
0.536 0.787 0.184
0.552 0.296 0.141
0.703 0.969 0.316
0.704 0.448 0.359
0.716 0.465 0.026
0.780 0.035 0.972
0.787 0.536 0.684
0.814 0.053 0.643
0.947 0.186 0.857
0.965 0.220 0.528
0.969 0.703 0.816
```

Results
Symmetry ... C2/c, No. 15

***

Version b
DFT (PBE with a Hubbard U) results for a relaxed structure of NaMn3O6.

Cell and atoms, written as POSCAR:
```
NaMn3O6
1.0
0.000 4.289 13.120
4.206 0.000 13.120
4.206 4.289 0.000
Na Mn O
4 12 24
Direct
0.042 0.042 0.708
0.292 0.292 0.958
0.708 0.708 0.042
0.958 0.958 0.292
0.000 0.500 0.500
0.157 0.171 0.342
0.170 0.658 0.829
0.171 0.157 0.830
0.342 0.830 0.157
0.500 0.000 0.500
0.500 0.500 0.000
0.500 0.500 0.500
0.658 0.170 0.843
0.829 0.843 0.170
0.830 0.342 0.171
0.843 0.829 0.658
0.041 0.627 0.404
0.046 0.634 0.906
0.086 0.094 0.366
0.094 0.086 0.954
0.225 0.251 0.287
0.251 0.225 0.736
0.264 0.713 0.749
0.287 0.736 0.225
0.366 0.954 0.086
0.373 0.959 0.571
0.404 0.429 0.041
0.429 0.404 0.627
0.571 0.596 0.373
0.596 0.571 0.959
0.627 0.041 0.429
0.634 0.046 0.914
0.713 0.264 0.775
0.736 0.287 0.251
0.749 0.775 0.264
0.775 0.749 0.713
0.906 0.914 0.046
0.914 0.906 0.634
0.954 0.366 0.094
0.959 0.373 0.596
```

Results
Symmetry ... Fddd, No. 70

***

Quick one: least stable of them? version a